[1]
# NaYMg14O16 | Materials Project | GGA-PBE | optimized geometry
# final energy	-194.1	eV/f.u.
# calculated formation energy	-2.9923	eV per atom
# energy above the lowest structure with this stoichiometry	3	meV/atom
# volume	327.3	Å³/cell
data_NaYMg14O16
_chemical_formula_sum 'Na1 Y1 Mg14 O16'
_cell_length_a 4.346
_cell_length_b 8.634
_cell_length_c 8.724
_cell_angle_alpha 90.00
_cell_angle_beta 90.00
_cell_angle_gamma 90.00
_space_group_name_H-M_alt 'P 1'
_space_group_IT_number 1
_space_group_name_Hall 'P 1'
loop_
_atom_site_label
_atom_site_fract_x
_atom_site_fract_y
_atom_site_fract_z
Na1 0.000 0.000 0.500
O1 0.000 0.266 0.500
Mg1 0.000 0.500 0.500
Y1 0.000 0.000 0.000
Mg2 0.000 0.254 0.740
O2 0.000 0.500 0.753
O3 0.500 0.000 0.000
O4 0.500 0.751 0.753
O5 0.500 0.500 0.500
Mg3 0.500 0.500 0.747
O6 0.500 0.751 0.247
O7 0.500 0.249 0.247
Mg4 0.500 0.752 0.500
O8 0.000 0.000 0.751
Mg5 0.500 0.500 0.253
Mg6 0.000 0.500 0.000
Mg7 0.500 0.000 0.732
O9 0.500 0.249 0.753
Mg8 0.000 0.746 0.740
Mg9 0.500 0.262 0.000
O10 0.000 0.500 0.247
O11 0.000 0.739 0.000
Mg10 0.000 0.254 0.260
O12 0.500 0.000 0.500
O13 0.000 0.261 0.000
Mg11 0.500 0.000 0.268
Mg12 0.500 0.248 0.500
Mg13 0.000 0.746 0.260
O14 0.000 0.000 0.249
O15 0.000 0.734 0.500
O16 0.500 0.500 0.000
Mg14 0.500 0.738 0.000



[2]
# NdAl3B4O12 | Materials Project | GGA-PBE | optimized geometry
# final energy	-158.5	eV/f.u.
# calculated formation energy	-3.2344	eV per atom
# volume	189.0	Å³/cell
data_NdAl3B4O12
_chemical_formula_sum 'Nd1 Al3 B4 O12'
_cell_length_a 5.967
_cell_length_b 5.967
_cell_length_c 5.967
_cell_angle_alpha 104.14
_cell_angle_beta 104.14
_cell_angle_gamma 104.14
_space_group_name_H-M_alt 'P 1'
_space_group_IT_number 1
_space_group_name_Hall 'P 1'
loop_
_atom_site_label
_atom_site_fract_x
_atom_site_fract_y
_atom_site_fract_z
B1 0.058 0.942 0.500
Al1 0.556 0.000 0.444
O1 0.379 0.226 0.973
B2 0.500 0.500 0.500
O2 0.351 0.500 0.649
Nd1 0.000 0.000 0.000
O3 0.649 0.351 0.500
B3 0.942 0.500 0.058
O4 0.090 0.500 0.910
O5 0.500 0.910 0.090
O6 0.027 0.774 0.621
O7 0.910 0.090 0.500
O8 0.226 0.973 0.379
O9 0.500 0.649 0.351
Al2 0.000 0.444 0.556
O10 0.774 0.621 0.027
O11 0.973 0.379 0.226
B4 0.500 0.058 0.942
Al3 0.444 0.556 0.000
O12 0.621 0.027 0.774



[3]
# SrAl3P2H7O14 | Materials Project | GGA-PBE | optimized geometry
# final energy	-173.5	eV/f.u.
# calculated formation energy	-2.4562	eV per atom
# volume	242.8	Å³/cell
data_SrAl3P2H7O14
_chemical_formula_sum 'Sr1 Al3 P2 H7 O14'
_cell_length_a 6.841
_cell_length_b 6.841
_cell_length_c 6.841
_cell_angle_alpha 63.27
_cell_angle_beta 63.27
_cell_angle_gamma 63.27
_space_group_name_H-M_alt 'P 1'
_space_group_IT_number 1
_space_group_name_Hall 'P 1'
loop_
_atom_site_label
_atom_site_fract_x
_atom_site_fract_y
_atom_site_fract_z
O1 0.740 0.116 0.740
O2 0.259 0.259 0.893
O3 0.487 0.841 0.841
O4 0.259 0.893 0.259
H1 0.293 0.729 0.293
Sr1 0.000 0.000 0.000
O5 0.596 0.596 0.596
H2 0.287 0.695 0.695
O6 0.161 0.515 0.161
O7 0.515 0.161 0.161
Al1 0.998 0.504 0.998
H3 0.729 0.293 0.293
P1 0.690 0.690 0.690
O8 0.841 0.487 0.841
H4 0.695 0.695 0.287
O9 0.893 0.259 0.259
P2 0.305 0.305 0.305
H5 0.293 0.293 0.729
O10 0.161 0.161 0.515
O11 0.116 0.740 0.740
O12 0.740 0.740 0.116
Al2 0.998 0.998 0.504
O13 0.403 0.403 0.403
H6 0.695 0.287 0.695
Al3 0.504 0.998 0.998
H7 0.463 0.463 0.463
O14 0.841 0.841 0.487



[4]
# RbMg14C | Materials Project | GGA-PBE | optimized geometry
# final energy	-27.3	eV/f.u.
# calculated formation energy	0.3299	eV per atom
# energy above the lowest structure with this stoichiometry	0	meV/atom
# volume	381.6	Å³/cell
data_RbMg14C
_chemical_formula_sum 'Rb1 Mg14 C1'
_cell_length_a 6.654
_cell_length_b 6.255
_cell_length_c 10.388
_cell_angle_alpha 90.00
_cell_angle_beta 90.00
_cell_angle_gamma 118.03
_space_group_name_H-M_alt 'P 1'
_space_group_IT_number 1
_space_group_name_Hall 'P 1'
loop_
_atom_site_label
_atom_site_fract_x
_atom_site_fract_y
_atom_site_fract_z
Mg1 0.838 0.669 0.359
Mg2 0.172 0.336 0.625
Mg3 0.340 0.682 0.377
Mg4 0.838 0.669 0.891
C1 0.357 0.928 0.125
Mg5 0.340 0.682 0.873
Mg6 0.340 0.158 0.873
Mg7 0.152 0.826 0.625
Rb1 0.110 0.305 0.125
Mg8 0.650 0.331 0.625
Mg9 0.340 0.158 0.377
Mg10 0.611 0.305 0.125
Mg11 0.825 0.163 0.399
Mg12 0.825 0.163 0.851
Mg13 0.611 0.806 0.125
Mg14 0.650 0.820 0.625



[5]
# CdBiSe2I | Materials Project | GGA-PBE | optimized geometry
# final energy	-15.6	eV/f.u.
# calculated formation energy	-0.5361	eV per atom
# volume	306.8	Å³/cell
data_CdBiSe2I
_chemical_formula_sum 'Cd2 Bi2 Se4 I2'
_cell_length_a 7.283
_cell_length_b 7.283
_cell_length_c 10.374
_cell_angle_alpha 88.37
_cell_angle_beta 88.37
_cell_angle_gamma 33.90
_space_group_name_H-M_alt 'P 1'
_space_group_IT_number 1
_space_group_name_Hall 'P 1'
loop_
_atom_site_label
_atom_site_fract_x
_atom_site_fract_y
_atom_site_fract_z
Se1 0.643 0.643 0.442
I1 0.638 0.638 0.076
Se2 0.081 0.081 0.740
Cd1 0.000 0.000 0.000
Cd2 0.000 0.000 0.500
Bi1 0.286 0.286 0.316
Se3 0.357 0.357 0.558
Se4 0.919 0.919 0.260
I2 0.362 0.362 0.924
Bi2 0.714 0.714 0.684



[6]
# Ca3Mg4Zn11 | Materials Project | GGA-PBE | optimized geometry
# final energy	-29.0	eV/f.u.
# calculated formation energy	-0.1528	eV per atom
# volume	707.3	Å³/cell
data_Ca3Mg4Zn11
_chemical_formula_sum 'Ca6 Mg8 Zn22'
_cell_length_a 9.344
_cell_length_b 9.344
_cell_length_c 9.354
_cell_angle_alpha 90.00
_cell_angle_beta 90.00
_cell_angle_gamma 120.00
_space_group_name_H-M_alt 'P 1'
_space_group_IT_number 1
_space_group_name_Hall 'P 1'
loop_
_atom_site_label
_atom_site_fract_x
_atom_site_fract_y
_atom_site_fract_z
Zn1 0.427 0.573 0.250
Zn2 0.427 0.854 0.250
Mg1 0.500 0.500 0.000
Ca1 0.200 0.800 0.750
Zn3 0.154 0.846 0.088
Zn4 0.846 0.154 0.912
Zn5 0.154 0.846 0.412
Mg2 0.000 0.000 0.250
Zn6 0.573 0.427 0.750
Zn7 0.333 0.667 0.493
Ca2 0.800 0.200 0.250
Ca3 0.601 0.800 0.750
Mg3 0.000 0.000 0.750
Zn8 0.692 0.846 0.088
Zn9 0.154 0.308 0.412
Zn10 0.146 0.573 0.250
Zn11 0.846 0.692 0.588
Mg4 0.000 0.500 0.000
Zn12 0.846 0.154 0.588
Ca4 0.399 0.200 0.250
Mg5 0.000 0.500 0.500
Zn13 0.667 0.333 0.507
Zn14 0.846 0.692 0.912
Mg6 0.500 0.000 0.500
Zn15 0.692 0.846 0.412
Zn16 0.667 0.333 0.993
Mg7 0.500 0.000 0.000
Ca5 0.800 0.601 0.250
Mg8 0.500 0.500 0.500
Zn17 0.154 0.308 0.088
Zn18 0.333 0.667 0.007
Zn19 0.573 0.146 0.750
Ca6 0.200 0.399 0.750
Zn20 0.308 0.154 0.912
Zn21 0.308 0.154 0.588
Zn22 0.854 0.427 0.750



[7]
# Sr4BiO7 | Materials Project | GGA-PBE | optimized geometry
# final energy	-70.6	eV/f.u.
# calculated formation energy	-2.5119	eV per atom
# volume	403.1	Å³/cell
data_Sr4BiO7
_chemical_formula_sum 'Sr8 Bi2 O14'
_cell_length_a 6.188
_cell_length_b 7.049
_cell_length_c 9.422
_cell_angle_alpha 101.26
_cell_angle_beta 90.00
_cell_angle_gamma 90.00
_space_group_name_H-M_alt 'P 1'
_space_group_IT_number 1
_space_group_name_Hall 'P 1'
loop_
_atom_site_label
_atom_site_fract_x
_atom_site_fract_y
_atom_site_fract_z
O1 0.414 0.316 0.105
O2 0.698 0.044 0.838
Sr1 0.140 0.989 0.874
O3 0.879 0.762 0.583
Sr2 0.667 0.091 0.559
O4 0.621 0.442 0.662
O5 0.608 0.817 0.313
Sr3 0.174 0.492 0.611
O6 0.198 0.956 0.162
Sr4 0.167 0.909 0.441
Sr5 0.640 0.011 0.126
O7 0.392 0.813 0.627
Bi1 0.158 0.256 0.246
O8 0.121 0.558 0.338
Sr6 0.674 0.508 0.389
O9 0.437 0.713 0.921
O10 0.108 0.183 0.687
O11 0.914 0.684 0.895
O12 0.892 0.187 0.373
Sr7 0.168 0.611 0.075
Bi2 0.658 0.744 0.754
Sr8 0.668 0.389 0.925
O13 0.379 0.238 0.417
O14 0.937 0.287 0.079



[8]
# CsSe3O9 | Materials Project | GGA-PBE | optimized geometry
# final energy	-64.1	eV/f.u.
# calculated formation energy	-1.1051	eV per atom
# volume	1049.0	Å³/cell
data_CsSe3O9
_chemical_formula_sum 'Cs4 Se12 O36'
_cell_length_a 9.706
_cell_length_b 9.982
_cell_length_c 11.300
_cell_angle_alpha 106.63
_cell_angle_beta 90.00
_cell_angle_gamma 90.00
_space_group_name_H-M_alt 'P 1'
_space_group_IT_number 1
_space_group_name_Hall 'P 1'
loop_
_atom_site_label
_atom_site_fract_x
_atom_site_fract_y
_atom_site_fract_z
O1 0.899 0.497 0.643
Se1 0.264 0.219 0.034
O2 0.516 0.972 0.367
Cs1 0.267 0.778 0.986
Se2 0.048 0.529 0.714
Se3 0.539 0.913 0.700
O3 0.118 0.235 0.941
O4 0.618 0.765 0.559
Se4 0.236 0.219 0.534
O5 0.127 0.672 0.707
O6 0.382 0.235 0.441
O7 0.882 0.765 0.059
O8 0.423 0.811 0.735
Se5 0.548 0.471 0.786
Cs2 0.767 0.222 0.514
O9 0.670 0.959 0.796
O10 0.317 0.392 0.080
O11 0.101 0.503 0.357
O12 0.484 0.028 0.633
O13 0.399 0.503 0.857
O14 0.373 0.672 0.207
O15 0.879 0.887 0.552
Se6 0.039 0.087 0.800
O16 0.068 0.484 0.840
O17 0.379 0.113 0.948
O18 0.183 0.392 0.580
Se7 0.461 0.087 0.300
Cs3 0.733 0.222 0.014
Cs4 0.233 0.778 0.486
Se8 0.961 0.913 0.200
O19 0.621 0.887 0.052
Se9 0.452 0.529 0.214
O20 0.568 0.516 0.660
O21 0.830 0.959 0.296
O22 0.817 0.608 0.420
O23 0.170 0.041 0.704
O24 0.121 0.113 0.448
O25 0.683 0.608 0.920
O26 0.016 0.028 0.133
O27 0.627 0.328 0.793
O28 0.984 0.972 0.867
Se10 0.764 0.781 0.466
O29 0.577 0.189 0.265
O30 0.077 0.811 0.235
O31 0.432 0.484 0.340
O32 0.330 0.041 0.204
O33 0.932 0.516 0.160
Se11 0.952 0.471 0.286
O34 0.601 0.497 0.143
O35 0.873 0.328 0.293
Se12 0.736 0.781 0.966
O36 0.923 0.189 0.765



[9]
# AlPt3C | Materials Project | GGA-PBE | optimized geometry
# final energy	-30.1	eV/f.u.
# calculated formation energy	0.2118	eV per atom
# volume	73.3	Å³/cell
data_AlPt3C
_chemical_formula_sum 'Al1 Pt3 C1'
_cell_length_a 4.185
_cell_length_b 4.185
_cell_length_c 4.185
_cell_angle_alpha 90.00
_cell_angle_beta 90.00
_cell_angle_gamma 90.00
_space_group_name_H-M_alt 'P 1'
_space_group_IT_number 1
_space_group_name_Hall 'P 1'
loop_
_atom_site_label
_atom_site_fract_x
_atom_site_fract_y
_atom_site_fract_z
C1 0.500 0.500 0.500
Pt1 0.500 0.000 0.500
Pt2 0.500 0.500 0.000
Pt3 0.000 0.500 0.500
Al1 0.000 0.000 0.000



[10]
# SnH12C6N2O4 | Materials Project | GGA-PBE | optimized geometry
# final energy	-148.2	eV/f.u.
# calculated formation energy	-0.5747	eV per atom
# volume	1258.7	Å³/cell
data_SnH12C6N2O4
_chemical_formula_sum 'Sn4 H48 C24 N8 O16'
_cell_length_a 9.480
_cell_length_b 9.480
_cell_length_c 15.405
_cell_angle_alpha 75.69
_cell_angle_beta 75.69
_cell_angle_gamma 100.00
_space_group_name_H-M_alt 'P 1'
_space_group_IT_number 1
_space_group_name_Hall 'P 1'
loop_
_atom_site_label
_atom_site_fract_x
_atom_site_fract_y
_atom_site_fract_z
H1 0.005 0.646 0.099
H2 0.095 0.279 0.598
H3 0.430 0.128 0.287
H4 0.203 0.436 0.967
C1 0.584 0.245 0.905
H5 0.795 0.341 0.556
O1 0.185 0.061 0.976
C2 0.543 0.953 0.659
H6 0.393 0.283 0.068
C3 0.288 0.908 0.643
H7 0.603 0.213 0.840
H8 0.505 0.039 0.688
H9 0.717 0.607 0.432
O2 0.256 0.008 0.681
N1 0.429 0.175 0.962
N2 0.575 0.123 0.370
H10 0.721 0.905 0.902
H11 0.495 0.961 0.312
H12 0.659 0.205 0.944
H13 0.128 0.475 0.590
C4 0.323 0.120 0.925
H14 0.632 0.391 0.613
O3 0.992 0.744 0.819
H15 0.609 0.368 0.887
C5 0.460 0.755 0.593
Sn1 0.130 0.028 0.838
O4 0.815 0.939 0.024
H16 0.872 0.570 0.213
C6 0.712 0.092 0.357
O5 0.873 0.637 0.664
H17 0.797 0.564 0.033
N3 0.425 0.877 0.630
Sn2 0.028 0.130 0.338
Sn3 0.972 0.870 0.662
H18 0.995 0.354 0.901
H19 0.525 0.872 0.910
C7 0.457 0.047 0.341
H20 0.368 0.609 0.387
C8 0.416 0.755 0.095
C9 0.047 0.457 0.841
H21 0.213 0.603 0.340
H22 0.367 0.708 0.571
C10 0.677 0.880 0.075
N4 0.825 0.571 0.538
H23 0.283 0.393 0.568
N5 0.175 0.429 0.462
H24 0.128 0.430 0.787
H25 0.633 0.292 0.429
H26 0.523 0.333 0.352
H27 0.667 0.477 0.148
H28 0.039 0.505 0.188
H29 0.436 0.203 0.467
Sn4 0.870 0.972 0.162
H30 0.475 0.128 0.090
H31 0.354 0.995 0.401
O6 0.637 0.873 0.164
C11 0.391 0.170 0.060
O7 0.061 0.185 0.476
H32 0.391 0.632 0.113
H33 0.961 0.495 0.812
O8 0.744 0.992 0.319
O9 0.808 0.169 0.387
C12 0.830 0.609 0.440
C13 0.609 0.830 0.940
H34 0.905 0.721 0.402
C14 0.092 0.712 0.857
H35 0.333 0.523 0.852
H36 0.397 0.787 0.160
H37 0.341 0.795 0.056
C15 0.170 0.391 0.560
O10 0.363 0.127 0.836
C16 0.245 0.540 0.907
H38 0.570 0.872 0.713
C17 0.953 0.543 0.159
C18 0.880 0.677 0.575
C19 0.755 0.416 0.595
H39 0.787 0.397 0.660
C20 0.540 0.245 0.407
O11 0.127 0.363 0.336
H40 0.607 0.717 0.932
N6 0.877 0.425 0.130
C21 0.245 0.584 0.405
O12 0.831 0.192 0.113
O13 0.192 0.831 0.613
H41 0.872 0.525 0.410
O14 0.939 0.815 0.524
H42 0.708 0.367 0.071
C22 0.755 0.460 0.093
H43 0.205 0.659 0.444
C23 0.908 0.288 0.143
N7 0.571 0.825 0.038
O15 0.008 0.256 0.181
C24 0.120 0.323 0.425
O16 0.169 0.808 0.887
H44 0.292 0.633 0.929
H45 0.279 0.095 0.098
H46 0.564 0.797 0.533
N8 0.123 0.575 0.870
H47 0.646 0.005 0.599
H48 0.477 0.667 0.648



[11]
# BaC2 | Materials Project | GGA-PBE | optimized geometry
# final energy	-20.1	eV/f.u.
# calculated formation energy	0.0946	eV per atom
# volume	70.6	Å³/cell
data_BaC2
_chemical_formula_sum 'Ba1 C2'
_cell_length_a 4.788
_cell_length_b 4.788
_cell_length_c 4.788
_cell_angle_alpha 125.19
_cell_angle_beta 125.19
_cell_angle_gamma 81.22
_space_group_name_H-M_alt 'P 1'
_space_group_IT_number 1
_space_group_name_Hall 'P 1'
loop_
_atom_site_label
_atom_site_fract_x
_atom_site_fract_y
_atom_site_fract_z
Ba1 0.000 0.000 0.000
C1 0.587 0.587 0.000
C2 0.413 0.413 0.000



Q: Which value of final energy does entry 4 give?
A: -27.3 eV/f.u.



Q: Which value of final energy does entry 5 give?
A: -15.6 eV/f.u.